## w
Here is a relaxed Mn3O2F4 crystal from the Materials Project database. Energies are from PBE+U.

## Properties
- Symmetry: P-1

Structure (extended XYZ):
```
18
Lattice="4.8373 0.0000 0.0000 0.4731 5.7663 0.0000 0.4791 0.5647 7.9098" Properties=species:S:1:pos:R:3 pbc="T T T"
Mn 0.0000 0.0000 0.0000
Mn 0.5419 3.9553 2.6314
Mn 2.5760 1.2194 2.7009
Mn 2.6552 2.8831 0.0000
Mn 3.2136 5.1116 5.2088
Mn 5.2477 2.3757 5.2784
O 1.2938 2.3856 3.4991
O 1.3410 4.0946 0.8142
O 4.4485 2.2364 7.0955
O 4.4957 3.9454 4.4107
F 1.3639 0.6459 5.9945
F 1.6169 1.2120 0.8008
F 2.0966 5.2929 3.4347
F 2.1395 3.5481 6.1108
F 3.6500 2.7829 1.7989
F 3.6929 1.0381 4.4751
F 4.1727 5.1190 7.1089
F 4.4256 5.6851 1.9153
```

## x
Here is a relaxed Mn3O2F4 crystal from the Materials Project database. Energies are from PBE+U.

## Properties
- Symmetry: P-1

Structure (extended XYZ):
```
18
Lattice="4.6646 0.0000 0.0000 0.0062 4.7840 0.0000 0.0248 0.4407 9.7676" Properties=species:S:1:pos:R:3 pbc="T T T"
Mn 0.0000 0.0000 0.0000
Mn 0.1129 4.9159 6.5992
Mn 2.2471 2.2941 1.7125
Mn 2.3478 2.6124 4.8838
Mn 2.4485 2.9306 8.0551
Mn 4.5827 0.3088 3.1684
O 0.8129 1.0161 1.6472
O 1.5388 3.6667 6.5772
O 3.1568 1.5580 3.1904
O 3.8826 4.2087 8.1204
F 0.8997 1.0810 5.0176
F 1.1081 1.4295 8.1711
F 1.2455 3.5968 3.2357
F 1.4355 3.2654 0.1333
F 3.2600 1.9594 9.6343
F 3.4501 1.6279 6.5319
F 3.5874 3.7952 1.5965
F 3.7959 4.1438 4.7500
```

Energies in kJ/mol of atoms, measured from the most stable structure: w 0.9; x 0.0.

## w
Here is a relaxed MnFe2O3 crystal from the Materials Project database. Energies are from PBE+U.

## Properties
- Symmetry: Cmmm

Structure (extended XYZ):
```
12
Lattice="2.2355 -6.5978 0.0000 2.2355 6.5978 0.0000 0.0000 0.0000 4.4710" Properties=species:S:1:pos:R:3 pbc="T T T"
Mn 2.2355 4.4155 0.0000
Mn 2.2355 -4.4155 0.0000
Fe 0.0000 0.0000 2.2355
Fe 2.2355 2.2270 2.2355
Fe 2.2355 0.0000 0.0000
Fe 2.2355 -2.2270 2.2355
O 0.0000 0.0000 0.0000
O 2.2355 4.3670 2.2355
O 2.2355 2.1674 0.0000
O 2.2355 0.0000 2.2355
O 2.2355 -2.1674 0.0000
O 2.2355 -4.3670 2.2355
```

## x
Here is a relaxed MnFe2O3 crystal from the Materials Project database. Energies are from PBE+U.

## Properties
- Symmetry: Immm

Structure (extended XYZ):
```
12
Lattice="3.2117 0.0000 0.0000 0.0000 4.2772 0.0000 0.0000 0.0000 9.5587" Properties=species:S:1:pos:R:3 pbc="T T T"
Mn 0.0000 0.0000 0.0000
Mn 1.6058 2.1386 4.7794
Fe 0.0000 0.0000 3.1924
Fe 0.0000 0.0000 6.3664
Fe 1.6058 2.1386 1.5870
Fe 1.6058 2.1386 7.9717
O 0.0000 2.1386 0.0000
O 0.0000 2.1386 3.1623
O 0.0000 2.1386 6.3964
O 1.6058 0.0000 1.6170
O 1.6058 0.0000 4.7794
O 1.6058 0.0000 7.9417
```

Energies in kJ/mol of atoms, measured from the most stable structure: w 0.0; x 27.0.

## w
Here is a relaxed Sr2MgZrVO6 crystal from the Materials Project database. Energies are from PBE+U.

## Properties
- Symmetry: Immm

Structure (extended XYZ):
```
11
Lattice="-2.9077 2.9355 4.6771 2.9077 -2.9355 4.6771 2.9077 2.9355 -4.6771" Properties=species:S:1:pos:R:3 pbc="T T T"
Sr 0.0000 0.0000 1.7020
Sr 0.0000 0.0000 7.6523
Mg 0.0000 0.0000 4.6771
Zr 0.0000 2.9355 0.0000
V 2.9077 0.0000 0.0000
O 1.4910 1.4881 0.0000
O 4.3245 1.4881 0.0000
O 2.9077 0.0000 2.4793
O 0.0000 2.9355 2.1978
O -1.4167 1.4474 4.6771
O 1.4167 1.4474 4.6771
```

## x
Here is a relaxed Sr2MgZrVO6 crystal from the Materials Project database. Energies are from PBE+U.

## Properties
- Symmetry: P1

Structure (extended XYZ):
```
11
Lattice="5.6273 0.0000 0.0000 2.4316 5.3261 0.0000 2.0959 2.0325 5.6696" Properties=species:S:1:pos:R:3 pbc="T T T"
Sr 0.0000 0.0000 0.0000
Sr 4.8448 4.0096 4.2765
Mg 7.4853 5.9371 3.5916
Zr 5.5926 3.4573 0.9563
V 2.6490 1.5337 2.2007
O 3.8298 6.1742 3.5917
O 1.9340 2.9141 0.8512
O 6.9494 6.9884 5.3379
O 4.5820 2.3894 2.3330
O 6.1930 5.0497 2.2575
O 7.2813 4.2941 4.9485
```

Energies in kJ/mol of atoms, measured from the most stable structure: w 14.5; x 0.0.

## w
Here is a relaxed Ba2MgV2Si4O14 crystal from the Materials Project database. Energies are from PBE+U.

## Properties
- Symmetry: P1

Structure (extended XYZ):
```
23
Lattice="5.6119 0.0000 0.0000 0.5454 7.3857 0.0000 2.5023 -0.1387 7.7605" Properties=species:S:1:pos:R:3 pbc="T T T"
Ba 0.0000 0.0000 0.0000
Ba 2.9320 3.5604 1.3337
Mg 2.3340 2.8028 5.7019
V 3.5393 5.1792 5.0040
V 3.2431 7.3024 2.6524
Si 5.3990 1.4596 6.0372
Si 6.0903 5.6141 5.8838
Si 5.8277 5.2315 2.6616
Si 5.6555 1.9736 2.8631
O 1.6003 5.8542 2.1072
O 1.3619 1.3237 2.1241
O 3.1528 6.9451 4.4538
O 3.0532 3.6595 4.0900
O 3.9048 1.8457 6.4955
O 4.7311 5.0831 6.6244
O 4.2871 1.2944 2.3119
O 4.5109 5.8779 1.9283
O 6.2012 7.2089 6.2544
O 5.6281 5.4333 4.2936
O 6.5885 2.0925 6.9485
O 5.8404 1.9018 4.4980
O 5.7409 3.5846 2.3655
O 7.4791 4.8724 6.2521
```

## x
Here is a relaxed Ba2MgV2Si4O14 crystal from the Materials Project database. Energies are from PBE+U.

## Properties
- Symmetry: P1

Structure (extended XYZ):
```
23
Lattice="5.5957 0.0000 0.0000 -0.0039 7.3497 0.0000 -2.7704 -0.2417 7.6899" Properties=species:S:1:pos:R:3 pbc="T T T"
Ba 0.0000 0.0000 0.0000
Ba 0.0002 3.6111 6.1959
Mg -0.7148 1.8031 3.1015
V 0.0796 3.8466 1.3990
V 0.0725 7.1124 4.8047
Si 2.7080 1.6584 1.4601
Si 2.8252 5.7399 1.4981
Si 2.7002 1.9520 4.7331
Si 2.8149 5.2237 4.6993
O -1.4008 1.3966 5.0944
O -1.4202 5.8218 5.3846
O 0.0402 0.0429 3.0052
O 0.0383 3.5642 3.1987
O 1.4350 2.3399 0.7336
O 1.4959 5.1508 0.7709
O 2.7714 0.0291 1.0882
O 1.4296 1.2688 5.4618
O 1.4836 5.8045 5.4287
O 2.6697 1.8011 3.0968
O 2.8055 5.4897 3.1003
O 4.1891 5.1414 0.8209
O 2.7581 3.5827 5.0999
O 4.2037 2.2164 1.1062
```

Energies in kJ/mol of atoms, measured from the most stable structure: w 0.0; x 2.0.

## w
Here is a relaxed CsMgFeS2O8 crystal from the Materials Project database. Energies are from PBE+U.

## Properties
- Symmetry: P1

Structure (extended XYZ):
```
13
Lattice="5.1856 0.0000 0.0000 2.5921 4.4918 0.0000 0.0030 -0.0002 9.1305" Properties=species:S:1:pos:R:3 pbc="T T T"
Cs 0.0000 0.0000 0.0000
Mg 2.5952 1.4944 4.9156
Fe 5.1855 0.0013 4.1482
S 2.5952 1.5017 2.4120
S 5.1877 2.9927 6.2098
O 1.9881 2.7504 2.9906
O 1.8215 0.3555 3.0069
O 2.5925 1.4936 0.9463
O 3.7751 2.9401 5.6791
O 3.9785 1.4061 2.9964
O 5.8487 4.2426 5.6789
O 5.1879 2.9923 7.6687
O 5.9393 1.7956 5.6780
```

## x
Here is a relaxed CsMgFeS2O8 crystal from the Materials Project database. Energies are from PBE+U.

## Properties
- Symmetry: P1

Structure (extended XYZ):
```
13
Lattice="5.0652 0.0000 0.0000 2.4461 4.4498 0.0000 0.0805 0.0047 9.8636" Properties=species:S:1:pos:R:3 pbc="T T T"
Cs 0.0000 0.0000 0.0000
Mg 2.5535 1.4764 6.6491
Fe 2.4897 4.4320 4.1407
S 2.5698 1.4888 2.5441
S 5.0890 2.9820 6.1660
O 1.1849 1.2827 3.0760
O 3.1134 2.7710 3.0817
O 2.5261 1.5321 1.0694
O 4.3706 4.1950 5.6198
O 3.4469 0.3572 2.9771
O 5.1004 3.0104 7.6259
O 4.3960 1.7373 5.6620
O 6.5116 2.9865 5.6306
```

Energies in kJ/mol of atoms, measured from the most stable structure: w 0.0; x 5.7.

## w
Here is a relaxed Li3Cr2P3O12 crystal from the Materials Project database. Energies are from PBE+U.

## Properties
- Symmetry: P1

Structure (extended XYZ):
```
40
Lattice="8.3675 0.0000 0.0000 4.1759 7.2635 0.0000 0.0017 4.8095 7.5839" Properties=species:S:1:pos:R:3 pbc="T T T"
Li 0.0000 0.0000 0.0000
Li 1.0208 2.2644 2.1333
Li 3.5485 7.3539 7.5220
Li 5.6456 5.2278 2.1074
Li 8.5027 10.0072 5.8399
Li 9.1326 7.6673 2.1124
Cr 2.4610 5.0352 5.3647
Cr 6.6565 7.4742 4.3646
Cr 6.6539 2.6520 1.4011
Cr 10.8258 5.0959 0.7481
P 3.6688 7.1675 2.9821
P 5.4580 9.5717 6.7893
P 3.6906 2.9362 2.9358
P 5.4592 5.3509 6.7562
P 8.4373 5.0470 2.9912
P 9.1035 7.4820 6.7533
O 1.9847 6.5697 6.6283
O 3.8632 6.1330 1.7875
O 3.2614 6.4665 4.2587
O 3.9855 9.2150 7.1616
O 2.6867 3.3496 1.7934
O 5.5976 11.1153 6.6764
O 5.0716 7.8291 3.1127
O 5.8706 8.9044 5.4885
O 3.3550 3.5824 4.2816
O 4.1016 4.6406 6.5383
O 7.7272 8.6603 3.0487
O 6.3937 4.3454 0.3943
O 5.1359 3.3297 2.5498
O 5.9088 6.0735 5.5054
O 5.2357 1.5611 0.3710
O 7.1653 5.9375 3.1096
O 8.3259 7.6294 5.4522
O 10.6941 11.5583 7.1777
O 9.3371 5.7412 1.9065
O 8.0300 3.6164 2.5323
O 9.5316 8.9213 7.1451
O 10.9977 8.2400 2.5558
O 8.2634 1.9933 0.3279
O 9.1628 4.9714 4.3288
```

## x
Here is a relaxed Li3Cr2P3O12 crystal from the Materials Project database. Energies are from PBE+U.

## Properties
- Symmetry: C2/m

Structure (extended XYZ):
```
40
Lattice="4.0613 -2.6581 0.0000 4.0613 2.6581 0.0000 -0.1422 0.0000 18.7419" Properties=species:S:1:pos:R:3 pbc="T T T"
Li -0.0231 0.0000 3.1295
Li 8.0035 0.0000 15.6124
Li 2.6250 0.0000 1.6736
Li 2.5477 0.0000 14.1428
Li 5.4328 0.0000 4.5991
Li 5.3555 0.0000 17.0683
Cr 0.0000 0.0000 0.0000
Cr -0.0711 0.0000 9.3709
Cr -0.0746 0.0000 12.4539
Cr 8.0551 0.0000 6.2879
P 2.7656 0.0000 4.8050
P 2.7418 0.0000 10.9187
P 2.7148 0.0000 17.2567
P 5.2657 0.0000 1.4852
P 5.2387 0.0000 7.8232
P 5.2149 0.0000 13.9369
O 3.6883 1.2871 10.8957
O 3.7408 1.2495 4.8809
O 1.8330 0.0000 6.0191
O 3.6797 1.2491 17.3095
O 1.8534 0.0000 9.6895
O 1.8155 0.0000 18.5189
O 1.9318 0.0000 12.2254
O 1.9091 0.0000 15.9809
O 2.0174 0.0000 3.4914
O 4.2922 1.2871 7.8462
O 4.3008 1.2491 1.4324
O 4.2397 1.2495 13.8610
O 3.7408 -1.2495 4.8809
O 3.6797 -1.2491 17.3095
O 3.6883 -1.2871 10.8957
O 5.9631 0.0000 15.2504
O 6.0714 0.0000 2.7610
O 6.0487 0.0000 6.5165
O 6.1650 0.0000 0.2230
O 6.1271 0.0000 9.0524
O 4.3008 -1.2491 1.4324
O 6.1474 0.0000 12.7227
O 4.2397 -1.2495 13.8610
O 4.2922 -1.2871 7.8462
```

Energies in kJ/mol of atoms, measured from the most stable structure: w 0.0; x 4.2.